Record 1
The following is a DFT calculation (PBE+U) of a geometry-optimized Sr4Fe3ReO12 structure.

Summary:
For the energy of formation, the calculation gives -2477 meV per atom. As for the total magnetization: 0.0 μB/cell.

a = 7.9712 Å, b = 7.9711 Å, c = 7.9711 Å
α = 90.00°, β = 90.00°, γ = 90.00°
Sites, in units of the cell vectors:
Sr: 0.7500 0.2500 0.7500
Sr: 0.2500 0.7500 0.2500
Sr: 0.2500 0.7500 0.7500
Sr: 0.7500 0.2500 0.2500
Sr: 0.2500 0.2500 0.2500
Sr: 0.7500 0.7500 0.7500
Sr: 0.2500 0.2500 0.7500
Sr: 0.7500 0.7500 0.2500
Fe: 0.0000 0.5000 0.5000
Fe: 0.5000 0.5000 0.0000
Fe: 0.5000 0.0000 0.5000
Fe: 0.5000 0.0000 0.0000
Fe: 0.0000 0.0000 0.5000
Fe: 0.0000 0.5000 0.0000
Re: 0.0000 0.0000 0.0000
Re: 0.5000 0.5000 0.5000
O: 0.7500 0.5000 0.0000
O: 0.2500 0.0000 0.5000
O: 0.7500 0.0000 0.5000
O: 0.2500 0.5000 0.0000
O: 0.5000 0.0000 0.7500
O: 0.0000 0.5000 0.2500
O: 0.0000 0.5000 0.7500
O: 0.5000 0.0000 0.2500
O: 0.5000 0.2500 0.0000
O: 0.0000 0.7500 0.5000
O: 0.0000 0.2500 0.5000
O: 0.5000 0.7500 0.0000
O: 0.2370 0.0000 0.0000
O: 0.7370 0.5000 0.5000
O: 0.7630 0.0000 0.0000
O: 0.2630 0.5000 0.5000
O: 0.5000 0.5000 0.7370
O: 0.0000 0.0000 0.2370
O: 0.5000 0.5000 0.2630
O: 0.0000 0.0000 0.7630
O: 0.5000 0.2630 0.5000
O: 0.0000 0.7630 0.0000
O: 0.5000 0.7370 0.5000
O: 0.0000 0.2370 0.0000

---

Record 2
The following is a DFT calculation (PBE+U) of a geometry-optimized Co7P6H4O24 structure.

Summary:
For the energy of formation, the calculation gives -2084 meV per atom. As for the total magnetization: 21.0 μB/cell. The space group is P-1, No. 2.

a = 6.5360 Å, b = 7.9310 Å, c = 9.6007 Å
α = 104.48°, β = 108.96°, γ = 101.38°
Sites, in units of the cell vectors:
Co: 0.0509 0.7128 0.5139
Co: 0.9491 0.2872 0.4861
Co: 0.2893 0.8111 0.2869
Co: 0.7107 0.1889 0.7131
Co: 0.3879 0.4586 0.1087
Co: 0.6121 0.5414 0.8913
Co: 0.0000 0.0000 0.0000
P: 0.2238 0.1455 0.7786
P: 0.7762 0.8545 0.2214
P: 0.4140 0.2326 0.3725
P: 0.5860 0.7674 0.6275
P: 0.0836 0.5802 0.8262
P: 0.9164 0.4198 0.1738
H: 0.8254 0.1270 0.1917
H: 0.1746 0.8730 0.8083
H: 0.3738 0.4213 0.5632
H: 0.6262 0.5787 0.4368
O: 0.2030 0.9333 0.7251
O: 0.7970 0.0667 0.2749
O: 0.2222 0.1870 0.9460
O: 0.7778 0.8130 0.0540
O: 0.3763 0.7921 0.5096
O: 0.6237 0.2079 0.4904
O: 0.9850 0.8273 0.3358
O: 0.0150 0.1727 0.6642
O: 0.1276 0.5410 0.1650
O: 0.7356 0.9497 0.7596
O: 0.2644 0.0503 0.2404
O: 0.6992 0.4632 0.0879
O: 0.3008 0.5368 0.9121
O: 0.7241 0.7031 0.5231
O: 0.2759 0.2969 0.4769
O: 0.5192 0.6135 0.6887
O: 0.4808 0.3865 0.3113
O: 0.5524 0.7545 0.2268
O: 0.4476 0.2455 0.7732
O: 0.9476 0.4570 0.3475
O: 0.0524 0.5430 0.6525
O: 0.8927 0.2148 0.0992
O: 0.1073 0.7852 0.9008
O: 0.8724 0.4590 0.8350